VASP calculation (PBE-GGA) on crystalline Sn2P2O7 at its relaxed geometry.

The structure in extended XYZ format:
```
88
Lattice="-2.2442 5.6387 -3.5507 -5.5720 -3.6428 -2.2631 -13.2813 7.6009 20.4652" Properties=species:S:1:pos:R:3 pbc="T T T"
Sn -15.5586 5.0703 16.2358
Sn -1.5214 -0.1077 -0.8810
Sn -6.7311 0.9574 3.0729
Sn -10.4108 5.0243 11.7590
Sn -15.3848 3.7501 12.6198
Sn -10.2092 1.5382 5.2077
Sn -3.2593 2.6376 1.1907
Sn -8.6627 5.6026 8.0709
Sn -18.9256 7.7088 16.5820
Sn -14.7652 5.2005 8.7255
Sn -14.5743 10.1681 15.1233
Sn -5.7680 5.8783 2.1167
Sn -7.7321 2.8815 -1.6605
Sn -14.2165 8.5536 11.3474
Sn -12.9907 5.9356 5.3849
Sn -9.1066 6.5683 3.9129
P -4.3470 -2.1588 -1.3584
P -12.7327 2.7788 10.5538
P -12.9129 7.5553 16.6397
P -4.5148 3.5090 4.4045
P -5.8424 0.1005 -0.0497
P -13.0698 6.2603 13.9526
P -7.2329 3.7343 5.6751
P -11.6943 3.5707 7.8674
P -3.4528 2.6207 -2.3850
P -17.0108 7.6630 13.8241
P -8.7180 3.7315 1.7623
P -11.7606 7.4964 9.3163
P -17.1330 6.4027 11.0946
P -11.4275 3.8974 3.0086
P -4.9670 4.8734 -1.1381
P -10.6601 8.2701 6.6250
O -16.1536 5.5041 18.7107
O -2.3121 0.2714 1.3389
O -13.4964 6.3094 17.3618
O -12.4031 3.4243 11.8859
O -4.6407 1.9791 4.2884
O -8.7436 4.1401 10.2062
O -6.6587 -0.8400 0.8817
O -4.5345 -0.7444 -0.5401
O -13.8676 5.0408 14.4702
O -16.9377 3.9141 14.4249
O -5.2869 -2.1411 -2.5775
O -11.5492 5.9648 13.9329
O -9.2221 0.3042 3.3435
O -7.6149 2.2715 5.3435
O -11.4605 2.0971 7.4501
O -6.6654 3.8295 7.1198
O -11.7773 3.5937 9.4998
O -14.2109 3.0228 10.1419
O -5.3030 1.3167 0.6974
O -13.3082 7.4460 15.0523
O -13.5989 8.8352 17.0771
O -6.0141 4.1331 4.6650
O -4.1286 4.1673 3.0806
O -16.6123 7.0449 15.1610
O -2.5647 2.3896 -1.1404
O -6.6543 0.4294 -1.3258
O -10.5624 4.5198 7.5082
O -13.6283 6.8036 12.6472
O -7.5424 2.8351 2.1169
O -3.9677 1.3184 -2.9767
O -10.4267 6.8687 9.7881
O -13.0673 4.0793 7.3698
O -8.3379 4.7568 5.4270
O -16.4119 5.1107 10.7124
O -16.8535 6.4767 12.7138
O -11.8720 3.2645 4.3131
O -9.8905 3.3533 2.8367
O -13.0066 6.6846 9.6580
O -4.0200 4.9334 0.0922
O -4.7808 3.4051 -1.8433
O -18.5038 8.0975 13.8056
O -16.0387 11.1633 17.0654
O -16.1068 8.8271 13.3514
O -13.0946 9.9903 13.1865
O -9.3093 3.4952 0.3500
O -9.2185 7.9653 7.0710
O -6.6075 7.0835 3.9981
O -8.4050 5.2285 1.9918
O -11.6924 7.5537 7.6863
O -11.8699 8.9666 9.8112
O -6.9325 2.3540 -3.9088
O -16.5053 7.6455 10.4377
O -6.4271 4.8749 -0.7283
O -11.3751 5.4473 3.1049
O -14.5925 6.9258 6.8515
O -11.0275 7.5744 5.3148
```

The value obtained for the volume is 1263.3 Å³/cell. The uncorrected energy is -593.7 eV per cell. Its energy with MP2020 corrections is -7.18 eV/atom. The spin magnetization is 0.00 μB/atom. The value obtained for the calculated formation energy is -2.3218 eV per atom.